Entry 1:
! PBE Ba2MgReO6, relaxed; values from VASP
&SYSTEM
  ibrav = 0, nat = 10, ntyp = 4
/
ATOMIC_SPECIES
Ba 137.33 Ba.upf
O 16.00 O.upf
Re 186.21 Re.upf
Mg 24.30 Mg.upf
CELL_PARAMETERS angstrom
0.000 4.092 4.092
4.092 0.000 4.092
4.092 4.092 0.000
ATOMIC_POSITIONS angstrom
Ba 6.137 6.137 6.137
Ba 2.046 2.046 2.046
O 4.092 4.092 6.046
O 4.092 2.137 4.092
O 4.092 4.092 2.137
O 4.092 6.046 4.092
O 2.137 4.092 4.092
O 6.046 4.092 4.092
Re 4.092 4.092 4.092
Mg 0.000 0.000 0.000
! Electronic total energy: -7.185 eV per atom
! Energy of formation from the pure elements: -2.840 eV/atom



Entry 2:
! PBE BaMgSb2O6, relaxed; values from VASP
&SYSTEM
  ibrav = 0, nat = 10, ntyp = 4
/
ATOMIC_SPECIES
Ba 137.33 Ba.upf
Sb 121.76 Sb.upf
Mg 24.30 Mg.upf
O 16.00 O.upf
CELL_PARAMETERS angstrom
5.821 0.001 0.002
-2.910 5.041 0.002
0.002 0.003 5.474
ATOMIC_POSITIONS angstrom
Ba 5.815 0.004 0.002
Sb -0.004 3.366 2.739
Sb 2.909 1.684 2.739
Mg 2.902 1.686 0.002
O 1.960 2.947 1.477
O 2.289 0.227 1.477
O 4.479 1.875 1.478
O 3.528 0.229 4.001
O 3.861 2.949 4.002
O 1.340 1.874 4.002
! Offset from the most stable computed form: 0.0000 eV per atom
! Electronic total energy: -6.015 eV per atom
! Energy of formation from the pure elements: -2.281 eV/atom